Record 1
A geometry-optimized Ga3Au structure, computed with PBE-GGA.

a = 6.2966 Å, b = 6.2966 Å, c = 4.2906 Å
α = 90.00°, β = 90.00°, γ = 120.00°
With the nearest neighbours (Å) after each atom.
Element x y z (fractional)
Ga  0.1671  0.3343  0.2500  2 Au 2.81, 6 Ga 2.82-3.14
Ga  0.8329  0.6657  0.7500  2 Au 2.81, 6 Ga 2.82-3.14
Ga  0.8329  0.1671  0.7500  2 Au 2.81, 6 Ga 2.82-3.14
Ga  0.6657  0.8329  0.2500  2 Au 2.81, 6 Ga 2.82-3.14
Ga  0.3343  0.1671  0.7500  2 Au 2.81, 6 Ga 2.82-3.14
Ga  0.1671  0.8329  0.2500  2 Au 2.81, 6 Ga 2.82-3.14
Au  0.3333  0.6667  0.7500  6 Ga 2.81
Au  0.6667  0.3333  0.2500  6 Ga 2.81

Summary:
DFT total energy: -24.897 eV/cell
spin magnetization: 0.00 μB/cell
ΔH_f (0 K): -9 kJ/mol of formula units
distance to the lowest polymorph of the same formula: 18 meV/atom
calculated volume: 147.3 Å³/cell

---

Record 2
A geometry-optimized GaPt3C structure, computed with PBE-GGA.

a = 4.2064 Å, b = 4.2064 Å, c = 4.2064 Å
α = 90.00°, β = 90.00°, γ = 90.00°
With the nearest neighbours (Å) after each atom.
Element x y z (fractional)
Pt  0.0000  0.5000  0.5000  2 C 2.10
Pt  0.5000  0.5000  0.0000  2 C 2.10
Pt  0.5000  0.0000  0.5000  2 C 2.10
C  0.5000  0.5000  0.5000  6 Pt 2.10
Ga  0.0000  0.0000  0.0000  12 Pt 2.97

Summary:
DFT total energy: -28.727 eV/cell
spin magnetization: 0.00 μB/cell
ΔH_f (0 K): 168 kJ/mol of formula units
calculated volume: 74.4 Å³/cell